Entry 1:
A plane-wave DFT calculation with PBE-GGA was carried out for a relaxed ErZrRu2 crystal.

- ΔH_f (0 K) (eV per formula unit) = -2.17
- mass density (g/cm3) = 10.42
- raw total energy (Ha/atom) = -0.31088

Cell: 4.7001 4.7001 4.7001 Å, 60.00 60.00 60.00°
With the nearest neighbours (Å) after each atom.
Atoms (fractional coordinates):
Er  0.5000  0.5000  0.5000  8 Ru 2.88
Zr  0.0000  0.0000  0.0000  8 Ru 2.88
Ru  0.2500  0.2500  0.2500  4 Zr 2.88, 4 Er 2.88
Ru  0.7500  0.7500  0.7500  4 Zr 2.88, 4 Er 2.88


Entry 2:
A plane-wave DFT calculation with PBE-GGA was carried out for a relaxed Er2S3 crystal.

- ΔH_f (0 K) (eV per formula unit) = -11.83
- mass density (g/cm3) = 6.12
- raw total energy (Ha/atom) = -0.23423

Cell: 3.9936 10.1164 17.5469 Å, 81.38 90.00 90.00°
With the nearest neighbours (Å) after each atom.
Atoms (fractional coordinates):
Er  0.7500  0.8761  0.4298  7 S 2.67-2.91
Er  0.2500  0.1239  0.5702  7 S 2.67-2.91
Er  0.7500  0.4510  0.1147  7 S 2.70-2.94
Er  0.2500  0.5490  0.8853  7 S 2.70-2.94
Er  0.7500  0.8110  0.0207  7 S 2.71-2.93
Er  0.2500  0.1890  0.9793  7 S 2.71-2.93
Er  0.7500  0.5133  0.3996  6 S 2.67-2.82
Er  0.2500  0.4867  0.6004  6 S 2.67-2.82
Er  0.2500  0.8297  0.2183  6 S 2.62-2.81
Er  0.7500  0.1703  0.7817  6 S 2.62-2.81
Er  0.2500  0.1877  0.2791  6 S 2.67-2.84
Er  0.7500  0.8123  0.7209  6 S 2.67-2.84
S  0.7500  0.3848  0.9674  5 Er 2.76-2.85
S  0.2500  0.6152  0.0326  5 Er 2.76-2.85
S  0.2500  0.7102  0.3686  5 Er 2.73-2.91
S  0.7500  0.2898  0.6314  5 Er 2.73-2.91
S  0.2500  0.0076  0.7318  5 Er 2.81-2.90
S  0.7500  0.9924  0.2682  5 Er 2.81-2.90
S  0.2500  0.3672  0.4687  4 Er 2.67-2.81
S  0.7500  0.6328  0.5313  4 Er 2.67-2.81
S  0.7500  0.3623  0.2822  4 Er 2.67-2.94
S  0.2500  0.6377  0.7178  4 Er 2.67-2.94
S  0.2500  0.2687  0.1270  4 Er 2.67-2.83
S  0.7500  0.7313  0.8730  4 Er 2.67-2.83
S  0.7500  0.0486  0.9242  4 Er 2.62-2.72
S  0.2500  0.9514  0.0758  4 Er 2.62-2.72
S  0.7500  0.9476  0.5753  4 Er 2.67-2.76
S  0.2500  0.0524  0.4247  4 Er 2.67-2.76
S  0.2500  0.3189  0.8187  4 Er 2.64-2.93
S  0.7500  0.6811  0.1813  4 Er 2.64-2.93


Entry 3:
A plane-wave DFT calculation with PBE-GGA was carried out for a relaxed Er2S3 crystal.

- ΔH_f (0 K) (eV per formula unit) = -11.63
- M_tot (μB/atom) = 0.000
- mass density (g/cm3) = 6.81
- raw total energy (Ha/atom) = -0.23272

Cell: 13.6544 13.6544 13.6544 Å, 144.83 144.83 50.58°
With the nearest neighbours (Å) after each atom.
Atoms (fractional coordinates):
Er  0.4013  0.2803  0.6031  7 S 2.70-2.95
Er  0.0832  0.5832  0.5000  8 S 2.72-2.96
Er  0.3750  0.0069  0.1319  8 S 2.74-3.05
Er  0.6668  0.6668  0.0000  8 S 2.72-2.96
Er  0.0728  0.9697  0.6210  7 S 2.70-2.95
Er  0.3487  0.4518  0.3790  7 S 2.70-2.95
Er  0.8750  0.2431  0.8681  8 S 2.74-3.05
Er  0.0303  0.6513  0.1031  7 S 2.70-2.95
Er  0.7569  0.6250  0.6319  8 S 2.74-3.05
Er  0.3332  0.3332  0.0000  8 S 2.72-2.96
Er  0.5482  0.9272  0.8969  7 S 2.70-2.95
Er  0.9931  0.1250  0.3681  8 S 2.74-3.05
Er  0.4168  0.9168  0.5000  8 S 2.72-2.96
Er  0.7197  0.3228  0.1210  7 S 2.70-2.95
Er  0.2018  0.5987  0.8790  7 S 2.70-2.95
Er  0.6772  0.7982  0.3969  7 S 2.70-2.95
S  0.7454  0.4993  0.1136  5 Er 2.73-3.05
S  0.1750  0.2894  0.2537  5 Er 2.70-2.95
S  0.3857  0.6318  0.8864  5 Er 2.73-3.05
S  0.3643  0.7507  0.7461  5 Er 2.73-3.05
S  0.0046  0.6182  0.2539  5 Er 2.73-3.05
S  0.0357  0.9213  0.7463  5 Er 2.70-2.95
S  0.4059  0.1535  0.0945  5 Er 2.71-2.95
S  0.7143  0.9606  0.3856  5 Er 2.70-2.95
S  0.8465  0.9410  0.2524  5 Er 2.71-2.95
S  0.0590  0.3114  0.9055  5 Er 2.71-2.95
S  0.5750  0.3287  0.6144  5 Er 2.70-2.95
S  0.0394  0.4250  0.7537  5 Er 2.70-2.95
S  0.6713  0.2857  0.2463  5 Er 2.70-2.95
S  0.6886  0.5941  0.7476  5 Er 2.71-2.95
S  0.0787  0.8250  0.1144  5 Er 2.70-2.95
S  0.3818  0.6357  0.3864  5 Er 2.73-3.05
S  0.5007  0.6143  0.2461  5 Er 2.73-3.05
S  0.7106  0.9643  0.8856  5 Er 2.70-2.95
S  0.2493  0.9954  0.6136  5 Er 2.73-3.05
S  0.6910  0.0965  0.7524  5 Er 2.71-2.95
S  0.3441  0.9386  0.2476  5 Er 2.71-2.95
S  0.3682  0.2546  0.7539  5 Er 2.73-3.05
S  0.0614  0.3090  0.4055  5 Er 2.71-2.95
S  0.9035  0.6559  0.5945  5 Er 2.71-2.95


Entry 4:
A plane-wave DFT calculation with PBE-GGA was carried out for a relaxed Er2S3 crystal.

- ΔH_f (0 K) (eV per formula unit) = -11.77
- mass density (g/cm3) = 6.77
- raw total energy (Ha/atom) = -0.23377

Cell: 3.8378 10.4203 10.5696 Å, 90.00 90.00 90.00°
With the nearest neighbours (Å) after each atom.
Atoms (fractional coordinates):
Er  0.2500  0.1877  0.4921  7 S 2.73-2.79
Er  0.2500  0.3123  0.9921  7 S 2.73-2.79
Er  0.7500  0.8123  0.5079  7 S 2.73-2.79
Er  0.7500  0.6877  0.0079  7 S 2.73-2.79
Er  0.7500  0.4953  0.6916  7 S 2.80-2.84
Er  0.7500  0.0047  0.1916  7 S 2.80-2.84
Er  0.2500  0.5047  0.3084  7 S 2.80-2.84
Er  0.2500  0.9953  0.8084  7 S 2.80-2.84
S  0.2500  0.6266  0.5448  5 Er 2.75-2.82
S  0.2500  0.8734  0.0448  5 Er 2.75-2.82
S  0.7500  0.3734  0.4552  5 Er 2.75-2.82
S  0.7500  0.1266  0.9552  5 Er 2.75-2.82
S  0.7500  0.0541  0.6194  5 Er 2.73-2.84
S  0.7500  0.4459  0.1194  5 Er 2.73-2.84
S  0.2500  0.9459  0.3806  5 Er 2.73-2.84
S  0.2500  0.5541  0.8806  5 Er 2.73-2.84
S  0.2500  0.3038  0.7296  4 Er 2.78-2.80, 1 S 3.06
S  0.2500  0.1962  0.2296  4 Er 2.78-2.80, 1 S 3.06
S  0.7500  0.6962  0.2704  4 Er 2.78-2.80, 1 S 3.06
S  0.7500  0.8038  0.7704  4 Er 2.78-2.80, 1 S 3.06


Entry 5:
A plane-wave DFT calculation with PBE-GGA was carried out for a relaxed Er2S3 crystal.

- ΔH_f (0 K) (eV per formula unit) = -11.79
- mass density (g/cm3) = 6.31
- raw total energy (Ha/atom) = -0.23391

Cell: 3.9083 10.9422 11.2051 Å, 71.21 90.00 90.00°
With the nearest neighbours (Å) after each atom.
Atoms (fractional coordinates):
Er  0.2500  0.6606  0.9164  6 S 2.64-2.75
Er  0.7500  0.3394  0.0836  6 S 2.64-2.75
Er  0.2500  0.5437  0.3099  8 S 2.78-3.00
Er  0.7500  0.4563  0.6901  8 S 2.78-3.00
Er  0.2500  0.1827  0.4969  7 S 2.67-2.92
Er  0.7500  0.8173  0.5031  7 S 2.67-2.92
Er  0.2500  0.9323  0.1684  6 S 2.65-2.75
Er  0.7500  0.0677  0.8316  6 S 2.65-2.75
S  0.2500  0.6103  0.5371  5 Er 2.78-2.92
S  0.7500  0.3897  0.4629  5 Er 2.78-2.92
S  0.2500  0.3092  0.2495  4 Er 2.64-2.86
S  0.7500  0.6908  0.7505  4 Er 2.64-2.86
S  0.2500  0.9772  0.3870  4 Er 2.65-2.89
S  0.7500  0.0228  0.6130  4 Er 2.65-2.89
S  0.2500  0.4182  0.9016  5 Er 2.71-3.00
S  0.7500  0.5818  0.0984  5 Er 2.71-3.00
S  0.7500  0.7539  0.2770  5 Er 2.75-2.95
S  0.2500  0.2461  0.7230  5 Er 2.75-2.95
S  0.7500  0.1019  0.0636  4 Er 2.68-2.74
S  0.2500  0.8981  0.9364  4 Er 2.68-2.74


Entry 6:
A plane-wave DFT calculation with PBE-GGA was carried out for a relaxed ErScS3 crystal.

- ΔH_f (0 K) (eV per formula unit) = -11.37
- M_tot (μB/atom) = 0.000
- mass density (g/cm3) = 4.85
- raw total energy (Ha/atom) = -0.24377

Cell: 6.3535 6.9709 9.5395 Å, 90.00 90.00 90.00°
With the nearest neighbours (Å) after each atom.
Atoms (fractional coordinates):
Er  0.4586  0.6011  0.5081  6 S 2.71-2.90
Er  0.5414  0.3989  0.0081  6 S 2.71-2.90
Er  0.9586  0.8989  0.0081  6 S 2.71-2.90
Er  0.0414  0.1011  0.5081  6 S 2.71-2.90
Sc  0.9965  0.5040  0.2618  6 S 2.52-2.60
Sc  0.0035  0.4960  0.7618  6 S 2.52-2.60
Sc  0.4965  0.9960  0.7618  6 S 2.52-2.60
Sc  0.5035  0.0040  0.2618  6 S 2.52-2.60
S  0.1738  0.8137  0.6843  2 Sc 2.52-2.57, 1 Er 2.75
S  0.8262  0.1863  0.1843  2 Sc 2.52-2.57, 1 Er 2.75
S  0.6738  0.6863  0.1843  2 Sc 2.52-2.57, 1 Er 2.75
S  0.3262  0.3137  0.6843  2 Sc 2.52-2.57, 1 Er 2.75
S  0.1769  0.8190  0.3304  2 Sc 2.53-2.56, 1 Er 2.74
S  0.8231  0.1810  0.8304  2 Sc 2.53-2.56, 1 Er 2.74
S  0.6769  0.6810  0.8304  2 Sc 2.53-2.56, 1 Er 2.74
S  0.3231  0.3190  0.3304  2 Sc 2.53-2.56, 1 Er 2.74
S  0.1471  0.5498  0.0104  2 Sc 2.57-2.60, 2 Er 2.71-2.72
S  0.8529  0.4502  0.5104  2 Sc 2.57-2.60, 2 Er 2.71-2.72
S  0.6471  0.9502  0.5104  2 Sc 2.57-2.60, 2 Er 2.71-2.72
S  0.3529  0.0498  0.0104  2 Sc 2.57-2.60, 2 Er 2.71-2.72


Entry 7:
A plane-wave DFT calculation with PBE-GGA was carried out for a relaxed Sm4Er11S22 crystal.

- ΔH_f (0 K) (eV per formula unit) = -86.78
- M_tot (μB/atom) = 0.000
- mass density (g/cm3) = 6.05
- raw total energy (Ha/atom) = -0.23424

Cell: 19.5739 19.5739 11.3145 Å, 88.75 88.75 11.50°
With the nearest neighbours (Å) after each atom.
Atoms (fractional coordinates):
Sm  0.1043  0.1043  0.9880  8 S 2.87-3.02
Sm  0.8957  0.8957  0.0120  8 S 2.87-3.02
Sm  0.3671  0.3671  0.6538  7 S 2.87-2.98
Sm  0.6329  0.6329  0.3462  7 S 2.87-2.98
Er  0.7983  0.7983  0.9423  7 S 2.69-2.88
Er  0.2017  0.2017  0.0577  7 S 2.69-2.88
Er  0.4617  0.4617  0.7280  6 S 2.61-2.77
Er  0.5383  0.5383  0.2720  6 S 2.61-2.77
Er  0.6576  0.6576  0.6974  6 S 2.64-2.79
Er  0.3424  0.3424  0.3026  6 S 2.64-2.79
Er  0.2643  0.2643  0.6479  6 S 2.65-2.76
Er  0.7357  0.7357  0.3521  6 S 2.65-2.76
Er  0.0693  0.0693  0.6405  6 S 2.63-2.76
Er  0.9307  0.9307  0.3595  6 S 2.63-2.76
Er  0.0000  0.0000  0.0000  6 S 2.72-2.73
S  0.0881  0.0881  0.2478  2 Er 2.77, 3 Sm 2.87-2.99
S  0.9119  0.9119  0.7522  2 Er 2.77, 3 Sm 2.87-2.99
S  0.1880  0.1880  0.3080  3 Er 2.76-2.87, 2 Sm 2.93
S  0.8120  0.8120  0.6920  3 Er 2.76-2.87, 2 Sm 2.93
S  0.2800  0.2800  0.4100  4 Er 2.69-2.75
S  0.7200  0.7200  0.5900  4 Er 2.69-2.75
S  0.4460  0.4460  0.5045  3 Er 2.61-2.63
S  0.5540  0.5540  0.4955  3 Er 2.61-2.63
S  0.1342  0.1342  0.5438  3 Er 2.73-2.79, 2 Sm 2.98
S  0.8658  0.8658  0.4562  3 Er 2.73-2.79, 2 Sm 2.98
S  0.5929  0.5929  0.7900  3 Er 2.71-2.76, 2 Sm 3.02
S  0.4071  0.4071  0.2100  3 Er 2.71-2.76, 2 Sm 3.02
S  0.4523  0.4523  0.9685  3 Er 2.73-2.74, 2 Sm 2.98
S  0.5477  0.5477  0.0315  3 Er 2.73-2.74, 2 Sm 2.98
S  0.3517  0.3517  0.9079  3 Sm 2.87-2.92, 2 Er 2.88
S  0.6483  0.6483  0.0921  3 Sm 2.87-2.92, 2 Er 2.88
S  0.1680  0.1680  0.8492  3 Er 2.64-2.73, 1 Sm 2.91
S  0.8320  0.8320  0.1508  3 Er 2.64-2.73, 1 Sm 2.91
S  0.0078  0.0078  0.7610  4 Er 2.69-2.73
S  0.9922  0.9922  0.2390  4 Er 2.69-2.73
S  0.2550  0.2550  0.8805  4 Er 2.65-2.85
S  0.7450  0.7450  0.1195  4 Er 2.65-2.85